Entry 1:
A plane-wave DFT calculation with GGA+U was carried out for a geometry-optimized ErCuMo2O8 structure.

Lattice parameters (Å, degrees): 9.686 9.961 13.773 90.00 90.00 90.00
Space group Pbca (No. 61)
Symmetry-distinct sites (fractional):
1 Er 0.038 0.117 0.127 (multiplicity 8)
2 Cu 0.234 0.069 0.481 (multiplicity 8)
3 Mo 0.089 0.715 0.079 (multiplicity 8)
4 Mo 0.232 0.633 0.791 (multiplicity 8)
5 O 0.048 0.704 0.204 (multiplicity 8)
6 O 0.057 0.147 0.485 (multiplicity 8)
7 O 0.080 0.605 0.538 (multiplicity 8)
8 O 0.114 0.513 0.743 (multiplicity 8)
9 O 0.150 0.030 0.859 (multiplicity 8)
10 O 0.151 0.744 0.879 (multiplicity 8)
11 O 0.176 0.212 0.692 (multiplicity 8)
12 O 0.243 0.610 0.058 (multiplicity 8)

Output
**Spin magnetization**: 0.0 Bohr magnetons per cell
**Final energy**: -7.072 eV/atom

=====

Entry 2:
A plane-wave DFT calculation with GGA+U was carried out for a geometry-optimized TbCrO5 structure.

Lattice parameters (Å, degrees): 8.264 11.558 11.671 90.00 134.30 90.00
Space group P2_1/c (No. 14)
Symmetry-distinct sites (fractional):
1 Tb 0.201 0.060 0.333 (multiplicity 4)
2 Tb 0.248 0.578 0.179 (multiplicity 4)
3 Cr 0.137 0.173 0.000 (multiplicity 4)
4 Cr 0.405 0.690 0.543 (multiplicity 4)
5 O 0.055 0.586 0.651 (multiplicity 4)
6 O 0.063 0.541 0.920 (multiplicity 4)
7 O 0.091 0.188 0.434 (multiplicity 4)
8 O 0.135 0.168 0.140 (multiplicity 4)
9 O 0.208 0.620 0.366 (multiplicity 4)
10 O 0.293 0.741 0.607 (multiplicity 4)
11 O 0.391 0.132 0.084 (multiplicity 4)
12 O 0.393 0.098 0.821 (multiplicity 4)
13 O 0.439 0.514 0.099 (multiplicity 4)
14 O 0.498 0.194 0.480 (multiplicity 4)

Output
**Spin magnetization**: 8.0 Bohr magnetons per cell
**Final energy**: -7.123 eV/atom

=====

Entry 3:
A plane-wave DFT calculation with GGA+U was carried out for a geometry-optimized CaNd2Mn3O9 structure.

Lattice parameters (Å, degrees): 16.750 7.697 5.496 90.00 90.00 90.00
Space group Pnma (No. 62)
Symmetry-distinct sites (fractional):
1 Ca 0.152 0.250 0.009 (multiplicity 4)
2 Nd 0.014 0.750 0.508 (multiplicity 4)
3 Nd 0.182 0.750 0.988 (multiplicity 4)
4 Mn 0.000 0.000 0.000 (multiplicity 4)
5 Mn 0.167 0.001 0.498 (multiplicity 8)
6 O 0.006 0.250 0.922 (multiplicity 4)
7 O 0.069 0.037 0.291 (multiplicity 8)
8 O 0.096 0.546 0.782 (multiplicity 8)
9 O 0.159 0.750 0.417 (multiplicity 4)
10 O 0.173 0.250 0.583 (multiplicity 4)
11 O 0.237 0.044 0.211 (multiplicity 8)

Output
**Spin magnetization**: 44.0 Bohr magnetons per cell
**Final energy**: -7.650 eV/atom

=====

Entry 4:
A plane-wave DFT calculation with GGA+U was carried out for a geometry-optimized Cr2O5 structure.

Lattice parameters (Å, degrees): 4.988 9.047 9.285 90.00 90.00 90.00
Space group P2_12_12_1 (No. 19)
Symmetry-distinct sites (fractional):
1 Cr 0.115 0.031 0.282 (multiplicity 4)
2 Cr 0.117 0.660 0.907 (multiplicity 4)
3 O 0.039 0.014 0.457 (multiplicity 4)
4 O 0.094 0.307 0.531 (multiplicity 4)
5 O 0.148 0.091 0.740 (multiplicity 4)
6 O 0.155 0.503 0.320 (multiplicity 4)
7 O 0.219 0.205 0.260 (multiplicity 4)

Output
**Energy above the most stable polymorph in this dataset**: 0 meV per atom
**Spin magnetization**: 8.0 Bohr magnetons per cell
**Final energy**: -6.953 eV/atom

=====

Entry 5:
A plane-wave DFT calculation with GGA+U was carried out for a geometry-optimized Li4Mn5Ni3O16 structure.

Lattice parameters (Å, degrees): 10.094 5.748 9.369 90.00 91.89 90.00
Space group Cm (No. 8)
Symmetry-distinct sites (fractional):
1 Li 0.000 0.000 0.000 (multiplicity 2)
2 Li 0.007 0.000 0.506 (multiplicity 2)
3 Li 0.168 0.500 0.097 (multiplicity 2)
4 Li 0.338 0.000 0.600 (multiplicity 2)
5 Mn 0.164 0.500 0.514 (multiplicity 2)
6 Mn 0.329 0.500 0.782 (multiplicity 2)
7 Mn 0.330 0.000 0.010 (multiplicity 2)
8 Mn 0.416 0.246 0.283 (multiplicity 4)
9 Ni 0.086 0.253 0.785 (multiplicity 4)
10 Ni 0.172 0.000 0.285 (multiplicity 2)
11 O 0.025 0.500 0.652 (multiplicity 2)
12 O 0.081 0.254 0.401 (multiplicity 4)
13 O 0.164 0.000 0.903 (multiplicity 2)
14 O 0.171 0.500 0.886 (multiplicity 2)
15 O 0.248 0.282 0.649 (multiplicity 4)
16 O 0.266 0.226 0.150 (multiplicity 4)
17 O 0.338 0.500 0.395 (multiplicity 2)
18 O 0.343 0.000 0.391 (multiplicity 2)
19 O 0.410 0.250 0.899 (multiplicity 4)
20 O 0.482 0.000 0.159 (multiplicity 2)
21 O 0.496 0.500 0.189 (multiplicity 2)
22 O 0.498 0.500 0.695 (multiplicity 2)

Output
**Spin magnetization**: 37.9 Bohr magnetons per cell
**Final energy**: -6.162 eV/atom

=====

Entry 6:
A plane-wave DFT calculation with GGA+U was carried out for a geometry-optimized Li6V2OF11 structure.

Lattice parameters (Å, degrees): 5.114 5.504 8.732 74.15 89.88 62.43
Space group P1 (No. 1)
Symmetry-distinct sites (fractional):
1 Li 0.000 0.000 0.000 (multiplicity 1)
2 Li 0.072 0.846 0.358 (multiplicity 1)
3 Li 0.300 0.452 0.760 (multiplicity 1)
4 Li 0.598 0.850 0.877 (multiplicity 1)
5 Li 0.758 0.471 0.278 (multiplicity 1)
6 Li 0.850 0.310 0.634 (multiplicity 1)
7 V 0.318 0.366 0.124 (multiplicity 1)
8 V 0.530 0.939 0.514 (multiplicity 1)
9 O 0.307 0.152 0.319 (multiplicity 1)
10 F 0.275 0.161 0.986 (multiplicity 1)
11 F 0.284 0.147 0.651 (multiplicity 1)
12 F 0.331 0.645 0.221 (multiplicity 1)
13 F 0.338 0.637 0.928 (multiplicity 1)
14 F 0.358 0.684 0.558 (multiplicity 1)
15 F 0.724 0.153 0.816 (multiplicity 1)
16 F 0.754 0.160 0.160 (multiplicity 1)
17 F 0.763 0.146 0.475 (multiplicity 1)
18 F 0.820 0.667 0.711 (multiplicity 1)
19 F 0.825 0.659 0.419 (multiplicity 1)
20 F 0.890 0.625 0.078 (multiplicity 1)

Output
**Energy above the most stable polymorph in this dataset**: 11 meV per atom
**Spin magnetization**: 3.0 Bohr magnetons per cell
**Final energy**: -5.432 eV/atom

=====

Entry 7:
A plane-wave DFT calculation with GGA+U was carried out for a geometry-optimized Li21V20O40 structure.

Lattice parameters (Å, degrees): 13.204 13.204 8.346 90.00 90.00 90.00
Space group I-4 (No. 82)
Symmetry-distinct sites (fractional):
1 Li 0.000 0.000 0.000 (multiplicity 2)
2 Li 0.002 0.253 0.619 (multiplicity 8)
3 Li 0.050 0.401 0.373 (multiplicity 8)
4 Li 0.063 0.875 0.844 (multiplicity 8)
5 Li 0.150 0.204 0.381 (multiplicity 8)
6 Li 0.152 0.696 0.876 (multiplicity 8)
7 V 0.001 0.251 0.124 (multiplicity 8)
8 V 0.050 0.401 0.875 (multiplicity 8)
9 V 0.050 0.900 0.374 (multiplicity 8)
10 V 0.149 0.201 0.876 (multiplicity 8)
11 V 0.149 0.701 0.373 (multiplicity 8)
12 O 0.003 0.752 0.368 (multiplicity 8)
13 O 0.004 0.254 0.879 (multiplicity 8)
14 O 0.048 0.404 0.630 (multiplicity 8)
15 O 0.048 0.904 0.617 (multiplicity 8)
16 O 0.052 0.896 0.128 (multiplicity 8)
17 O 0.053 0.396 0.119 (multiplicity 8)
18 O 0.147 0.706 0.129 (multiplicity 8)
19 O 0.150 0.206 0.121 (multiplicity 8)
20 O 0.151 0.196 0.632 (multiplicity 8)
21 O 0.152 0.695 0.618 (multiplicity 8)

Output
**Spin magnetization**: 82.0 Bohr magnetons per cell
**Final energy**: -6.857 eV/atom

=====

Number 1: ρ 5.5 g/cm3, ΔE_f -26.82 eV per formula unit. Number 2: ρ 4.8 g/cm3, ΔE_f -16.27 eV per formula unit. Number 3: ρ 6.0 g/cm3, ΔE_f -42.38 eV per formula unit. Number 4: ρ 2.9 g/cm3, ΔE_f -12.06 eV per formula unit. Number 5: ρ 4.5 g/cm3, ΔE_f -49.53 eV per formula unit. Number 6: ρ 3.0 g/cm3, ΔE_f -62.18 eV per formula unit. Number 7: ρ 4.1 g/cm3, ΔE_f -197.18 eV per formula unit.